Below is crystalline Ba4SiN4 at its relaxed geometry, with properties calculated at the PBE level.

POSCAR file:
```
Ba4SiN4
1.0
-8.4766 4.1974 -8.7486
-1.7651 -3.6242 -0.0286
-10.3965 4.9652 12.4554
Ba Si N
16 4 16
direct
0.6106 0.2500 0.8840
0.1106 0.2500 0.6160
0.3894 0.7500 0.1160
0.8894 0.7500 0.3840
0.6276 0.2500 0.4653
0.1276 0.2500 0.0347
0.3724 0.7500 0.5347
0.8724 0.7500 0.9653
0.8598 0.2500 0.7678
0.3598 0.2500 0.7322
0.1402 0.7500 0.2322
0.6402 0.7500 0.2678
0.8823 0.2500 0.1698
0.3823 0.2500 0.3302
0.1177 0.7500 0.8302
0.6177 0.7500 0.6698
0.6295 0.2500 0.0834
0.1295 0.2500 0.4166
0.3705 0.7500 0.9166
0.8705 0.7500 0.5834
0.5541 0.2500 0.1608
0.0541 0.2500 0.3392
0.4459 0.7500 0.8392
0.9459 0.7500 0.6608
0.7358 0.2500 0.0307
0.2358 0.2500 0.4693
0.2642 0.7500 0.9693
0.7642 0.7500 0.5307
0.7754 0.2500 0.3175
0.2754 0.2500 0.1825
0.2246 0.7500 0.6825
0.7246 0.7500 0.8175
0.9998 0.2500 0.8852
0.4998 0.2500 0.6148
0.0002 0.7500 0.1148
0.5002 0.7500 0.3852
```

DFT total energy: -200.02 eV for the cell shown
calculated volume: 24.480 Å³/atom
E (MP2020): -205.793 eV for the cell shown
DFT formation energy: -0.556 eV/atom